[1]
# K3Zr4Si12HO44 PBE optimized geometry
data_K3Zr4Si12HO44
_cell_length_a 7.415
_cell_length_b 10.376
_cell_length_c 13.675
_cell_angle_alpha 90.05
_cell_angle_beta 92.69
_cell_angle_gamma 90.14
_symmetry_space_group_name_H-M 'P 1'
_symmetry_Int_Tables_number 1
loop_
_symmetry_equiv_pos_as_xyz
'x,y,z'
loop_
_atom_site_label
_atom_site_type_symbol
_atom_site_fract_x
_atom_site_fract_y
_atom_site_fract_z
K1 K 0.000 0.000 0.000
K2 K 0.000 0.110 0.501
K3 K 0.542 0.498 0.280
Zr1 Zr 0.026 0.510 0.191
Zr2 Zr 0.526 0.008 0.089
Zr3 Zr 0.537 0.094 0.605
Zr4 Zr 0.977 0.583 0.687
Si1 Si 0.262 0.223 0.215
Si2 Si 0.278 0.878 0.719
Si3 Si 0.282 0.371 0.554
Si4 Si 0.292 0.719 0.059
Si5 Si 0.556 0.090 0.335
Si6 Si 0.571 0.008 0.836
Si7 Si 0.680 0.401 0.544
Si8 Si 0.699 0.697 0.060
Si9 Si 0.856 0.198 0.224
Si10 Si 0.867 0.906 0.720
Si11 Si 0.991 0.585 0.940
Si12 Si 0.997 0.500 0.441
H1 H 0.345 0.666 0.695
O1 O 0.010 0.469 0.025
O2 O 0.026 0.562 0.335
O3 O 0.046 0.867 0.406
O4 O 0.050 0.601 0.532
O5 O 0.068 0.154 0.241
O6 O 0.082 0.940 0.742
O7 O 0.129 0.373 0.461
O8 O 0.159 0.686 0.962
O9 O 0.190 0.822 0.369
O10 O 0.194 0.459 0.642
O11 O 0.204 0.653 0.154
O12 O 0.235 0.377 0.202
O13 O 0.239 0.718 0.707
O14 O 0.317 0.223 0.585
O15 O 0.317 0.875 0.067
O16 O 0.328 0.806 0.429
O17 O 0.331 0.326 0.850
O18 O 0.342 0.151 0.121
O19 O 0.360 0.940 0.623
O20 O 0.405 0.204 0.312
O21 O 0.415 0.895 0.816
O22 O 0.467 0.443 0.520
O23 O 0.470 0.337 0.908
O24 O 0.488 0.650 0.044
O25 O 0.520 0.977 0.252
O26 O 0.537 0.034 0.446
O27 O 0.543 0.121 0.754
O28 O 0.560 0.058 0.948
O29 O 0.610 0.859 0.367
O30 O 0.616 0.382 0.869
O31 O 0.697 0.247 0.556
O32 O 0.710 0.852 0.077
O33 O 0.759 0.124 0.130
O34 O 0.759 0.152 0.326
O35 O 0.766 0.476 0.640
O36 O 0.773 0.943 0.824
O37 O 0.778 0.989 0.630
O38 O 0.784 0.454 0.447
O39 O 0.791 0.619 0.153
O40 O 0.801 0.660 0.959
O41 O 0.845 0.354 0.213
O42 O 0.851 0.752 0.699
O43 O 0.855 0.321 0.981
O44 O 0.996 0.531 0.830
# * magnetization: 7.997 Bohr magnetons per cell
# * calculated volume: 1051 Å³/cell
# * energy of formation from the pure elements: -2.650 eV/atom


[2]
# K2SnH6O6 PBE optimized geometry
data_K2SnH6O6
_cell_length_a 5.725
_cell_length_b 5.725
_cell_length_c 5.725
_cell_angle_alpha 71.38
_cell_angle_beta 71.38
_cell_angle_gamma 71.38
_symmetry_space_group_name_H-M 'P 1'
_symmetry_Int_Tables_number 1
loop_
_symmetry_equiv_pos_as_xyz
'x,y,z'
loop_
_atom_site_label
_atom_site_type_symbol
_atom_site_fract_x
_atom_site_fract_y
_atom_site_fract_z
K1 K 0.209 0.209 0.209
K2 K 0.791 0.791 0.791
Sn1 Sn 0.500 0.500 0.500
H1 H 0.139 0.259 0.689
H2 H 0.259 0.689 0.139
H3 H 0.311 0.861 0.741
H4 H 0.689 0.139 0.259
H5 H 0.741 0.311 0.861
H6 H 0.861 0.741 0.311
O1 O 0.201 0.699 0.319
O2 O 0.301 0.681 0.799
O3 O 0.319 0.201 0.699
O4 O 0.681 0.799 0.301
O5 O 0.699 0.319 0.201
O6 O 0.799 0.301 0.681
# * magnetization: 0.000 Bohr magnetons per cell
# * calculated volume: 164 Å³/cell
# * energy of formation from the pure elements: -1.621 eV/atom


[3]
# K6Te3H32O28 PBE optimized geometry
data_K6Te3H32O28
_cell_length_a 8.161
_cell_length_b 9.343
_cell_length_c 10.280
_cell_angle_alpha 101.91
_cell_angle_beta 106.79
_cell_angle_gamma 95.86
_symmetry_space_group_name_H-M 'P 1'
_symmetry_Int_Tables_number 1
loop_
_symmetry_equiv_pos_as_xyz
'x,y,z'
loop_
_atom_site_label
_atom_site_type_symbol
_atom_site_fract_x
_atom_site_fract_y
_atom_site_fract_z
K1 K 0.000 0.000 0.000
K2 K 0.033 0.975 0.368
K3 K 0.196 0.406 0.543
K4 K 0.236 0.384 0.912
K5 K 0.609 0.712 0.259
K6 K 0.655 0.658 0.662
Te1 Te 0.487 0.035 0.899
Te2 Te 0.618 0.198 0.456
Te3 Te 0.745 0.343 0.004
H1 H 0.026 0.708 0.771
H2 H 0.063 0.284 0.226
H3 H 0.103 0.520 0.148
H4 H 0.130 0.865 0.764
H5 H 0.171 0.099 0.684
H6 H 0.215 0.676 0.142
H7 H 0.252 0.235 0.279
H8 H 0.259 0.845 0.599
H9 H 0.301 0.716 0.487
H10 H 0.335 0.559 0.307
H11 H 0.335 0.927 0.229
H12 H 0.354 0.869 0.076
H13 H 0.404 0.165 0.106
H14 H 0.432 0.978 0.477
H15 H 0.437 0.687 0.864
H16 H 0.447 0.450 0.376
H17 H 0.537 0.550 0.857
H18 H 0.541 0.290 0.671
H19 H 0.577 0.369 0.176
H20 H 0.659 0.015 0.732
H21 H 0.691 0.098 0.238
H22 H 0.696 0.832 0.052
H23 H 0.781 0.950 0.548
H24 H 0.798 0.697 0.044
H25 H 0.825 0.427 0.450
H26 H 0.831 0.219 0.798
H27 H 0.884 0.511 0.836
H28 H 0.892 0.832 0.602
H29 H 0.904 0.452 0.683
H30 H 0.910 0.506 0.294
H31 H 0.984 0.151 0.633
H32 H 0.989 0.642 0.431
O1 O 0.015 0.811 0.762
O2 O 0.108 0.174 0.642
O3 O 0.127 0.211 0.271
O4 O 0.214 0.778 0.501
O5 O 0.220 0.572 0.152
O6 O 0.278 0.856 0.136
O7 O 0.284 0.970 0.742
O8 O 0.337 0.127 0.005
O9 O 0.408 0.036 0.406
O10 O 0.411 0.549 0.400
O11 O 0.427 0.583 0.809
O12 O 0.490 0.869 0.977
O13 O 0.492 0.276 0.309
O14 O 0.525 0.329 0.587
O15 O 0.535 0.228 0.843
O16 O 0.589 0.427 0.107
O17 O 0.638 0.948 0.791
O18 O 0.698 0.149 0.060
O19 O 0.707 0.062 0.325
O20 O 0.739 0.118 0.605
O21 O 0.743 0.511 0.929
O22 O 0.807 0.801 0.098
O23 O 0.808 0.848 0.517
O24 O 0.828 0.353 0.510
O25 O 0.889 0.562 0.382
O26 O 0.897 0.252 0.901
O27 O 0.946 0.410 0.163
O28 O 0.960 0.524 0.776
# * magnetization: 0.005 Bohr magnetons per cell
# * calculated volume: 723 Å³/cell
# * energy of formation from the pure elements: -1.446 eV/atom


[4]
# K2TeH10O9 PBE optimized geometry
data_K2TeH10O9
_cell_length_a 8.762
_cell_length_b 8.762
_cell_length_c 18.010
_cell_angle_alpha 112.49
_cell_angle_beta 112.49
_cell_angle_gamma 47.38
_symmetry_space_group_name_H-M 'P 1'
_symmetry_Int_Tables_number 1
loop_
_symmetry_equiv_pos_as_xyz
'x,y,z'
loop_
_atom_site_label
_atom_site_type_symbol
_atom_site_fract_x
_atom_site_fract_y
_atom_site_fract_z
K1 K 0.079 0.899 0.591
K2 K 0.101 0.921 0.909
K3 K 0.278 0.535 0.149
K4 K 0.465 0.722 0.351
K5 K 0.535 0.278 0.649
K6 K 0.722 0.465 0.851
K7 K 0.899 0.079 0.091
K8 K 0.921 0.101 0.409
Te1 Te 0.089 0.433 0.422
Te2 Te 0.433 0.089 0.922
Te3 Te 0.567 0.911 0.078
Te4 Te 0.911 0.567 0.578
H1 H 0.031 0.416 0.238
H2 H 0.051 0.672 0.263
H3 H 0.095 0.479 0.842
H4 H 0.113 0.117 0.264
H5 H 0.117 0.113 0.764
H6 H 0.148 0.237 0.987
H7 H 0.201 0.208 0.623
H8 H 0.208 0.201 0.123
H9 H 0.237 0.148 0.487
H10 H 0.239 0.543 0.759
H11 H 0.305 0.548 0.988
H12 H 0.320 0.616 0.450
H13 H 0.328 0.949 0.237
H14 H 0.371 0.426 0.835
H15 H 0.384 0.680 0.050
H16 H 0.416 0.031 0.738
H17 H 0.426 0.371 0.335
H18 H 0.452 0.695 0.512
H19 H 0.457 0.761 0.741
H20 H 0.479 0.095 0.342
H21 H 0.521 0.905 0.658
H22 H 0.543 0.239 0.259
H23 H 0.548 0.305 0.488
H24 H 0.574 0.629 0.665
H25 H 0.584 0.969 0.262
H26 H 0.616 0.320 0.950
H27 H 0.629 0.574 0.165
H28 H 0.672 0.051 0.763
H29 H 0.680 0.384 0.550
H30 H 0.695 0.452 0.012
H31 H 0.761 0.457 0.241
H32 H 0.763 0.852 0.513
H33 H 0.792 0.799 0.877
H34 H 0.799 0.792 0.377
H35 H 0.852 0.763 0.013
H36 H 0.883 0.887 0.236
H37 H 0.887 0.883 0.736
H38 H 0.905 0.521 0.158
H39 H 0.949 0.328 0.737
H40 H 0.969 0.584 0.762
O1 O 0.017 0.620 0.690
O2 O 0.024 0.806 0.272
O3 O 0.047 0.440 0.192
O4 O 0.094 0.254 0.572
O5 O 0.135 0.252 0.933
O6 O 0.150 0.505 0.545
O7 O 0.194 0.976 0.228
O8 O 0.252 0.135 0.433
O9 O 0.254 0.094 0.072
O10 O 0.260 0.683 0.028
O11 O 0.317 0.740 0.472
O12 O 0.330 0.376 0.411
O13 O 0.356 0.514 0.807
O14 O 0.376 0.330 0.911
O15 O 0.380 0.983 0.810
O16 O 0.440 0.047 0.692
O17 O 0.486 0.644 0.693
O18 O 0.495 0.850 0.955
O19 O 0.505 0.150 0.045
O20 O 0.514 0.356 0.307
O21 O 0.560 0.953 0.308
O22 O 0.620 0.017 0.190
O23 O 0.624 0.670 0.089
O24 O 0.644 0.486 0.193
O25 O 0.670 0.624 0.589
O26 O 0.683 0.260 0.528
O27 O 0.740 0.317 0.972
O28 O 0.746 0.906 0.928
O29 O 0.748 0.865 0.567
O30 O 0.806 0.024 0.772
O31 O 0.850 0.495 0.455
O32 O 0.865 0.748 0.067
O33 O 0.906 0.746 0.428
O34 O 0.953 0.560 0.808
O35 O 0.976 0.194 0.728
O36 O 0.983 0.380 0.310
# * magnetization: 0.001 Bohr magnetons per cell
# * calculated volume: 924 Å³/cell
# * energy of formation from the pure elements: -1.452 eV/atom


[5]
# K3H3Pd PBE optimized geometry
data_K3H3Pd
_cell_length_a 10.909
_cell_length_b 10.909
_cell_length_c 10.373
_cell_angle_alpha 90.00
_cell_angle_beta 90.00
_cell_angle_gamma 90.00
_symmetry_space_group_name_H-M 'P 1'
_symmetry_Int_Tables_number 1
loop_
_symmetry_equiv_pos_as_xyz
'x,y,z'
loop_
_atom_site_label
_atom_site_type_symbol
_atom_site_fract_x
_atom_site_fract_y
_atom_site_fract_z
K1 K 0.004 0.251 0.208
K2 K 0.004 0.251 0.792
K3 K 0.201 0.201 0.500
K4 K 0.206 0.794 0.500
K5 K 0.249 0.504 0.292
K6 K 0.249 0.504 0.708
K7 K 0.251 0.004 0.208
K8 K 0.251 0.004 0.792
K9 K 0.294 0.294 0.000
K10 K 0.299 0.701 0.000
K11 K 0.496 0.751 0.292
K12 K 0.496 0.751 0.708
K13 K 0.504 0.249 0.292
K14 K 0.504 0.249 0.708
K15 K 0.701 0.299 0.000
K16 K 0.706 0.706 0.000
K17 K 0.749 0.996 0.208
K18 K 0.749 0.996 0.792
K19 K 0.751 0.496 0.292
K20 K 0.751 0.496 0.708
K21 K 0.794 0.206 0.500
K22 K 0.799 0.799 0.500
K23 K 0.996 0.749 0.208
K24 K 0.996 0.749 0.792
H1 H 0.000 0.000 0.337
H2 H 0.000 0.000 0.663
H3 H 0.000 0.346 0.500
H4 H 0.000 0.654 0.500
H5 H 0.109 0.109 0.000
H6 H 0.154 0.500 0.000
H7 H 0.246 0.754 0.244
H8 H 0.246 0.754 0.756
H9 H 0.254 0.254 0.256
H10 H 0.254 0.254 0.744
H11 H 0.346 0.000 0.500
H12 H 0.391 0.609 0.500
H13 H 0.500 0.154 0.000
H14 H 0.500 0.500 0.163
H15 H 0.500 0.500 0.837
H16 H 0.500 0.846 0.000
H17 H 0.609 0.391 0.500
H18 H 0.654 0.000 0.500
H19 H 0.746 0.746 0.256
H20 H 0.746 0.746 0.744
H21 H 0.754 0.246 0.244
H22 H 0.754 0.246 0.756
H23 H 0.846 0.500 0.000
H24 H 0.891 0.891 0.000
Pd1 Pd 0.000 0.000 0.000
Pd2 Pd 0.000 0.000 0.500
Pd3 Pd 0.000 0.500 0.000
Pd4 Pd 0.000 0.500 0.500
Pd5 Pd 0.500 0.000 0.000
Pd6 Pd 0.500 0.000 0.500
Pd7 Pd 0.500 0.500 0.000
Pd8 Pd 0.500 0.500 0.500
# * magnetization: 0.005 Bohr magnetons per cell
# * calculated volume: 1234 Å³/cell
# * energy of formation from the pure elements: -0.221 eV/atom


[6]
# K2H4Pd PBE optimized geometry
data_K2H4Pd
_cell_length_a 5.678
_cell_length_b 5.678
_cell_length_c 5.678
_cell_angle_alpha 117.41
_cell_angle_beta 117.41
_cell_angle_gamma 94.54
_symmetry_space_group_name_H-M 'P 1'
_symmetry_Int_Tables_number 1
loop_
_symmetry_equiv_pos_as_xyz
'x,y,z'
loop_
_atom_site_label
_atom_site_type_symbol
_atom_site_fract_x
_atom_site_fract_y
_atom_site_fract_z
K1 K 0.250 0.750 0.500
K2 K 0.750 0.250 0.500
H1 H 0.199 0.199 0.398
H2 H 0.199 0.801 0.000
H3 H 0.801 0.199 0.000
H4 H 0.801 0.801 0.602
Pd1 Pd 0.000 0.000 0.000
# * calculated volume: 134 Å³/cell
# * energy of formation from the pure elements: -0.288 eV/atom


[7]
# K3H5Pt PBE optimized geometry
data_K3H5Pt
_cell_length_a 7.459
_cell_length_b 7.459
_cell_length_c 5.780
_cell_angle_alpha 90.00
_cell_angle_beta 90.00
_cell_angle_gamma 90.00
_symmetry_space_group_name_H-M 'P 1'
_symmetry_Int_Tables_number 1
loop_
_symmetry_equiv_pos_as_xyz
'x,y,z'
loop_
_atom_site_label
_atom_site_type_symbol
_atom_site_fract_x
_atom_site_fract_y
_atom_site_fract_z
K1 K 0.000 0.000 0.000
K2 K 0.185 0.315 0.500
K3 K 0.315 0.815 0.500
K4 K 0.500 0.500 0.000
K5 K 0.685 0.185 0.500
K6 K 0.815 0.685 0.500
H1 H 0.000 0.000 0.500
H2 H 0.113 0.613 0.200
H3 H 0.113 0.613 0.800
H4 H 0.387 0.113 0.200
H5 H 0.387 0.113 0.800
H6 H 0.500 0.500 0.500
H7 H 0.613 0.887 0.200
H8 H 0.613 0.887 0.800
H9 H 0.887 0.387 0.200
H10 H 0.887 0.387 0.800
Pt1 Pt 0.000 0.500 0.000
Pt2 Pt 0.500 0.000 0.000
# * calculated volume: 322 Å³/cell
# * energy of formation from the pure elements: -0.344 eV/atom


[8]
# KHS PBE optimized geometry
data_KHS
_cell_length_a 4.395
_cell_length_b 5.010
_cell_length_c 6.676
_cell_angle_alpha 90.00
_cell_angle_beta 101.35
_cell_angle_gamma 90.00
_symmetry_space_group_name_H-M 'P 1'
_symmetry_Int_Tables_number 1
loop_
_symmetry_equiv_pos_as_xyz
'x,y,z'
loop_
_atom_site_label
_atom_site_type_symbol
_atom_site_fract_x
_atom_site_fract_y
_atom_site_fract_z
K1 K 0.231 0.250 0.262
K2 K 0.769 0.750 0.738
H1 H 0.470 0.750 0.105
H2 H 0.530 0.250 0.895
S1 S 0.259 0.250 0.756
S2 S 0.741 0.750 0.244
# * calculated volume: 144 Å³/cell
# * energy of formation from the pure elements: -0.942 eV/atom


[9]
# KHS PBE optimized geometry
data_KHS
_cell_length_a 4.357
_cell_length_b 4.357
_cell_length_c 4.357
_cell_angle_alpha 70.42
_cell_angle_beta 70.42
_cell_angle_gamma 70.42
_symmetry_space_group_name_H-M 'P 1'
_symmetry_Int_Tables_number 1
loop_
_symmetry_equiv_pos_as_xyz
'x,y,z'
loop_
_atom_site_label
_atom_site_type_symbol
_atom_site_fract_x
_atom_site_fract_y
_atom_site_fract_z
K1 K 0.000 0.000 0.000
H1 H 0.357 0.357 0.357
S1 S 0.495 0.495 0.495
# * largest piezoelectric modulus: 0.169 C/m²
# * calculated volume: 71 Å³/cell
# * energy of formation from the pure elements: -0.938 eV/atom


[10]
# K3ZnH5 PBE optimized geometry
data_K3ZnH5
_cell_length_a 7.756
_cell_length_b 7.756
_cell_length_c 7.756
_cell_angle_alpha 121.50
_cell_angle_beta 121.50
_cell_angle_gamma 87.43
_symmetry_space_group_name_H-M 'P 1'
_symmetry_Int_Tables_number 1
loop_
_symmetry_equiv_pos_as_xyz
'x,y,z'
loop_
_atom_site_label
_atom_site_type_symbol
_atom_site_fract_x
_atom_site_fract_y
_atom_site_fract_z
K1 K 0.182 0.682 0.864
K2 K 0.250 0.250 0.000
K3 K 0.318 0.182 0.500
K4 K 0.682 0.818 0.500
K5 K 0.750 0.750 0.000
K6 K 0.818 0.318 0.136
Zn1 Zn 0.250 0.750 0.500
Zn2 Zn 0.750 0.250 0.500
H1 H 0.000 0.000 0.000
H2 H 0.037 0.786 0.500
H3 H 0.214 0.714 0.251
H4 H 0.286 0.537 0.500
H5 H 0.463 0.963 0.750
H6 H 0.500 0.500 0.000
H7 H 0.537 0.037 0.250
H8 H 0.714 0.463 0.500
H9 H 0.786 0.286 0.749
H10 H 0.963 0.214 0.500
# * calculated volume: 322 Å³/cell
# * energy of formation from the pure elements: -0.320 eV/atom


[11]
# LaH3 PBE optimized geometry
data_LaH3
_cell_length_a 4.048
_cell_length_b 4.048
_cell_length_c 4.048
_cell_angle_alpha 124.75
_cell_angle_beta 124.75
_cell_angle_gamma 81.96
_symmetry_space_group_name_H-M 'P 1'
_symmetry_Int_Tables_number 1
loop_
_symmetry_equiv_pos_as_xyz
'x,y,z'
loop_
_atom_site_label
_atom_site_type_symbol
_atom_site_fract_x
_atom_site_fract_y
_atom_site_fract_z
La1 La 0.000 0.000 0.000
H1 H 0.250 0.750 0.500
H2 H 0.500 0.500 0.000
H3 H 0.750 0.250 0.500
# * magnetization: 0.000 Bohr magnetons per cell
# * calculated volume: 43 Å³/cell
# * energy above the lowest structure with this stoichiometry: 1 kJ/mol of formula units
# * energy of formation from the pure elements: -0.697 eV/atom


[12]
# LaH3 PBE optimized geometry
data_LaH3
_cell_length_a 3.942
_cell_length_b 3.942
_cell_length_c 3.942
_cell_angle_alpha 60.00
_cell_angle_beta 60.00
_cell_angle_gamma 60.00
_symmetry_space_group_name_H-M 'P 1'
_symmetry_Int_Tables_number 1
loop_
_symmetry_equiv_pos_as_xyz
'x,y,z'
loop_
_atom_site_label
_atom_site_type_symbol
_atom_site_fract_x
_atom_site_fract_y
_atom_site_fract_z
La1 La 0.000 0.000 0.000
H1 H 0.250 0.250 0.250
H2 H 0.500 0.500 0.500
H3 H 0.750 0.750 0.750
# * calculated volume: 43 Å³/cell
# * energy above the lowest structure with this stoichiometry: 0 kJ/mol of formula units
# * energy of formation from the pure elements: -0.700 eV/atom


Q: Which DFT total energy values were calculated for the entries above? A: -7.24, -5.10, -4.98, -4.98, -2.89, -3.28, -3.27, -3.65, -3.65, -2.62, -4.34, -4.34, in eV per atom.